Entry 1:
## Li2VS2O8 (GGA+U)

Data for a geometry-optimized Li2VS2O8 structure.

```
Li2VS2O8
1.0
-3.025 1.777 8.654
1.195 -9.097 2.286
13.089 2.728 4.016
Li V S O
16 8 16 64
Cartesian
3.688 -6.387 10.459
10.413 -5.129 11.950
5.664 -5.961 3.663
10.971 -3.870 9.210
9.397 -2.512 13.418
4.089 -4.603 7.872
4.683 -3.336 5.142
11.409 -2.078 6.634
-0.150 -2.514 8.322
6.576 -1.256 9.813
7.170 0.011 7.084
1.862 -2.080 1.537
0.288 -0.722 5.746
5.595 1.369 11.292
7.571 1.795 4.496
0.846 0.537 3.005
-0.081 -5.903 10.229
7.357 -5.064 9.681
1.167 -4.771 5.394
8.604 -3.932 4.847
2.655 -0.660 10.108
10.092 0.180 9.561
3.902 0.472 5.274
11.340 1.311 4.726
7.822 -4.780 13.085
2.365 -6.783 7.965
6.478 -5.743 6.591
13.400 -4.601 7.521
4.752 -3.228 10.509
11.673 -2.085 11.439
3.459 -4.481 2.836
8.915 -2.477 7.957
2.344 -2.115 6.999
7.800 -0.111 12.119
-0.415 -2.507 3.517
6.507 -1.364 4.446
-2.141 0.009 7.435
4.781 1.152 8.364
8.894 2.191 6.990
3.437 0.188 1.870
6.530 -7.220 6.782
13.373 -6.031 7.935
5.684 -7.994 3.660
10.735 -5.752 9.941
3.835 -7.007 8.210
9.103 -4.893 13.871
8.242 -5.092 11.684
1.817 -6.526 9.333
1.219 -6.697 4.506
7.875 -5.398 6.195
0.880 -7.166 2.130
6.122 -5.036 7.862
7.403 -3.353 13.209
2.284 -5.555 7.122
5.469 -5.338 5.578
12.044 -3.992 7.498
3.935 -4.289 9.865
10.511 -2.943 11.785
3.730 -5.938 2.668
8.849 -3.736 8.755
4.502 -3.325 11.982
-0.741 -5.454 6.250
-0.444 -4.665 8.546
6.213 -3.366 10.235
2.907 -4.196 4.197
9.332 -2.762 6.548
10.080 -1.705 8.519
4.812 -3.819 2.859
3.615 -2.868 6.922
8.666 -0.627 13.203
4.431 -1.870 9.988
11.274 -0.681 11.141
-0.015 -3.911 3.814
6.828 -2.722 4.968
7.644 -1.723 8.033
2.593 -3.965 1.752
1.179 -2.887 6.436
6.447 -0.773 12.096
1.927 -1.830 8.407
8.352 -0.396 10.758
5.046 -1.226 4.721
11.703 0.073 6.409
12.000 0.862 8.706
6.757 -1.267 2.973
2.410 -0.856 6.200
7.529 1.346 12.288
0.748 -1.649 3.170
7.324 -0.303 5.090
-0.786 -0.600 7.457
5.790 0.746 9.377
8.975 0.963 7.834
3.856 -1.239 1.747
5.137 0.445 7.093
10.379 2.574 12.826
3.384 0.806 8.760
10.040 2.105 10.449
9.442 1.934 5.622
3.017 0.500 3.272
7.424 2.415 6.745
2.156 0.301 1.085
5.575 3.402 11.295
0.524 1.161 5.014
-2.114 1.439 7.020
4.729 2.628 8.173
```

The value obtained for the energy relative to the elements is -2.1912 eV per atom. The total magnetic moment is 3.00 μB per formula unit. The calculation puts the density at 2.8 g/cm³.


Entry 2:
## MnFeO4 (GGA+U)

Data for a geometry-optimized MnFeO4 structure.

```
MnFeO4
1.0
2.393 -5.162 -1.112
2.789 0.278 5.075
-5.771 0.514 -0.198
Mn Fe O
2 2 8
Cartesian
2.591 -2.442 1.981
-1.491 0.396 2.438
1.276 -0.254 4.236
-1.865 -4.115 -0.472
-0.321 -3.647 0.396
-4.374 -0.769 0.864
2.412 -3.782 0.572
1.087 -3.430 2.739
-0.268 -0.723 3.368
3.785 -3.601 2.900
-3.000 -0.588 3.192
-1.675 -0.940 1.025
```

The value obtained for the energy relative to the elements is -1.3339 eV per atom. The total magnetic moment is 7.00 μB per formula unit. The calculation puts the density at 4.2 g/cm³.


> What is the total magnetic moment in the second record?

7.00 μB per formula unit


> Which value of energy relative to the elements does entry 1 give?

-2.1912 eV per atom